Entry from Materials Project: a relaxed structure of LiGd2Os (PBE).

Cell lengths 4.9358, 4.9358, 4.9358 Å; angles 60.00, 60.00, 60.00 degrees
Closest atoms and distances in Å follow each position.
Positions (direct):
Li: 0.0000 0.0000 0.0000  8 Gd 3.02
Gd: 0.2500 0.2500 0.2500  4 Os 3.02, 4 Li 3.02
Gd: 0.7500 0.7500 0.7500  4 Li 3.02, 4 Os 3.02
Os: 0.5000 0.5000 0.5000  8 Gd 3.02

Summary:
E_tot: -10.510 eV per atom
DFT formation energy: -0.1881 eV/atom